Record 1
Below is a relaxed structure of Na6La2Nb2Si5SO24, with properties calculated at the PBE level.

```
120
Lattice="9.413 0.000 0.000 4.696 8.167 0.000 0.089 0.212 23.057" Properties=species:S:1:pos:R:3 pbc="T T T"
Na 0.000 0.000 0.000
Na 1.694 2.904 2.094
Na 2.584 0.343 11.688
Na 6.192 5.909 21.325
Na 3.199 0.285 4.034
Na 6.289 5.575 9.812
Na 7.795 8.040 19.362
Na 7.513 3.133 19.193
Na 5.980 0.248 6.096
Na 9.144 5.458 0.197
Na 7.603 2.729 4.201
Na 7.951 3.285 11.740
Na 6.308 0.361 17.414
Na 9.499 5.865 15.515
Na 12.102 5.691 4.076
Na 12.637 6.170 19.179
Na 13.914 8.140 7.907
Na 11.004 3.033 13.660
La 6.145 5.826 17.498
La 6.225 5.592 6.487
La 6.048 0.179 2.434
La 10.870 8.358 20.995
La 10.876 3.096 10.400
La 10.980 3.048 21.713
Nb 6.060 5.795 13.295
Nb 6.038 5.679 1.915
Nb 6.051 0.376 9.475
Nb 6.176 0.300 14.117
Nb 10.685 3.015 16.870
Nb 10.773 2.792 5.580
Si 4.712 8.125 4.203
Si 2.900 0.611 8.059
Si 4.598 3.225 4.157
Si 7.584 8.290 15.545
Si 3.054 0.062 0.342
Si 4.895 2.710 11.877
Si 7.490 3.251 15.563
Si 8.937 5.537 4.063
Si 9.356 6.191 11.858
Si 9.461 5.461 19.335
Si 8.014 2.799 8.055
Si 8.796 0.127 11.770
Si 12.376 5.754 0.352
Si 9.459 0.645 19.366
Si 12.647 5.733 15.609
S 4.263 3.040 19.253
S 7.470 2.841 0.256
S 12.060 5.509 7.827
O 0.968 1.358 4.302
O 3.895 6.034 17.039
O 4.802 7.267 5.535
O 4.096 5.772 7.807
O 2.927 3.287 4.286
O 5.075 6.960 11.999
O 5.377 7.311 19.255
O 1.914 1.221 0.317
O 2.109 1.577 15.699
O 4.470 5.575 14.448
O 5.457 7.223 2.936
O 4.624 5.689 0.521
O 2.447 1.635 6.712
O 3.277 2.996 18.151
O 2.382 1.300 9.408
O 3.294 2.708 11.924
O 3.587 3.172 20.562
O 5.041 4.283 2.883
O 6.820 7.371 7.933
O 6.796 7.327 14.380
O 5.168 4.214 19.184
O 6.947 6.759 0.469
O 5.374 3.808 5.413
O 5.660 4.174 11.997
O 7.621 7.456 16.928
O 3.921 0.242 1.686
O 5.056 1.782 19.248
O 8.779 8.227 22.048
O 5.088 1.698 3.968
O 7.677 6.136 11.956
O 4.570 0.499 8.109
O 4.478 0.320 15.214
O 6.799 4.165 0.315
O 5.538 1.907 10.487
O 5.448 1.718 13.029
O 8.023 6.033 5.271
O 7.164 4.420 14.403
O 7.835 5.599 19.263
O 6.993 4.025 7.996
O 7.856 5.311 2.756
O 6.955 3.693 17.006
O 9.795 7.164 10.538
O 7.064 2.333 22.111
O 9.925 7.012 13.138
O 7.216 2.070 1.484
O 7.011 1.723 15.270
O 10.052 6.697 3.905
O 10.240 6.910 19.221
O 7.220 1.315 8.038
O 9.799 4.752 20.753
O 8.934 3.048 0.193
O 9.882 4.667 11.893
O 8.881 2.908 9.396
O 9.191 3.218 15.654
O 9.709 4.071 4.315
O 11.333 6.810 7.861
O 7.825 0.698 19.260
O 10.068 4.483 18.060
O 11.600 6.969 15.308
O 9.163 2.688 6.720
O 7.742 0.182 13.013
O 7.929 0.442 3.905
O 12.524 8.166 10.407
O 11.825 6.530 1.652
O 12.289 6.915 22.057
O 11.604 4.734 6.622
O 9.743 1.443 11.842
O 11.796 4.746 9.057
O 10.038 1.678 18.121
O 11.616 4.330 0.303
O 11.713 4.352 15.675
O 9.968 1.232 20.786
```

Values from the calculation:
Energy of formation in eV per atom: -2.900
Magnetization in Bohr magnetons per cell: 0.00

***

Record 2
Below is a relaxed structure of Na2La3Nb5Si6S6O48, with properties calculated at the PBE level.

```
210
Lattice="9.127 0.000 0.000 -0.045 15.752 0.000 -0.109 -0.036 23.739" Properties=species:S:1:pos:R:3 pbc="T T T"
Na 0.000 0.000 0.000
Na -0.046 0.006 11.604
Na 3.963 7.915 23.691
Na 4.090 2.405 7.908
Na 4.216 7.597 11.838
Na 8.847 10.505 19.848
La -0.066 15.637 8.391
La -0.025 10.474 23.354
La 4.277 13.224 12.583
La 4.326 2.705 11.428
La 4.346 7.842 20.444
La 4.446 7.914 8.421
La 4.499 2.569 4.181
La 8.750 10.269 16.287
La 8.856 0.058 20.420
Nb -0.012 5.131 12.564
Nb 4.206 13.065 0.559
Nb 4.247 13.105 7.334
Nb 4.288 13.155 19.285
Nb 4.384 2.654 23.071
Nb 4.517 7.668 3.462
Nb 4.523 2.690 16.210
Nb 4.540 7.921 15.331
Nb 8.756 15.718 15.506
Nb 8.969 15.610 3.747
Nb 8.951 10.300 11.229
Nb 8.999 10.442 4.396
Nb 9.049 5.251 0.647
Nb 9.028 5.360 7.483
Nb 9.005 5.018 19.425
Si 1.104 3.028 9.930
Si 1.141 12.843 2.067
Si 1.165 7.361 10.064
Si 1.283 8.161 2.061
Si 1.729 12.954 9.957
Si 2.348 5.121 21.953
Si 2.638 0.017 6.024
Si 3.019 10.889 21.753
Si 3.098 4.981 13.982
Si 3.063 15.325 21.873
Si 5.588 10.239 17.915
Si 5.779 4.916 1.871
Si 6.178 0.014 17.851
Si 7.085 2.524 13.801
Si 7.113 7.843 5.916
Si 7.535 13.274 5.974
Si 7.581 8.100 13.701
Si 7.584 3.027 21.920
S 1.208 2.309 17.789
S 1.189 13.464 17.835
S 1.627 2.513 1.901
S 1.611 7.623 17.908
S 2.480 10.223 13.856
S 2.898 0.378 14.136
S 2.969 5.542 5.939
S 3.011 10.182 5.892
S 5.535 15.373 9.740
S 5.793 5.518 17.761
S 5.840 10.867 9.997
S 5.940 0.177 1.851
S 6.222 10.421 2.057
S 6.485 5.167 9.883
S 6.776 12.988 21.792
S 7.754 2.412 5.942
S 7.762 7.331 21.760
S 7.817 12.933 13.845
O 0.341 8.833 10.242
O 0.369 1.607 10.011
O 0.443 12.455 0.686
O 0.475 1.610 16.681
O 0.520 9.003 3.240
O 0.472 3.626 18.011
O 0.565 14.340 2.539
O 0.606 6.674 1.798
O 0.587 3.966 8.596
O 0.605 6.733 8.613
O 0.580 14.017 19.047
O 0.710 3.694 1.665
O 0.664 14.141 9.955
O 0.756 1.312 2.052
O 0.699 3.849 11.333
O 0.708 6.504 11.343
O 0.689 8.780 17.838
O 0.753 6.375 18.074
O 0.806 11.759 3.240
O 0.755 12.078 17.637
O 0.812 14.324 16.644
O 0.901 11.503 10.241
O 1.165 1.528 19.022
O 1.366 8.995 0.696
O 1.356 5.214 23.221
O 1.422 15.631 4.784
O 1.398 4.984 20.521
O 1.451 0.214 14.436
O 1.474 5.573 6.044
O 1.469 5.130 13.789
O 1.412 10.791 21.605
O 1.472 15.482 21.901
O 1.570 10.463 5.586
O 1.595 10.070 12.673
O 1.746 10.447 15.094
O 1.922 0.324 7.392
O 2.326 2.813 3.152
O 2.401 7.766 19.134
O 2.460 7.494 16.710
O 2.551 2.325 0.763
O 2.591 2.623 17.423
O 2.645 13.088 11.267
O 2.722 2.988 9.813
O 2.679 13.515 17.936
O 2.740 7.644 10.042
O 2.757 12.833 8.601
O 2.796 13.045 1.848
O 2.837 7.913 2.586
O 3.006 0.988 12.810
O 3.050 9.417 7.139
O 3.167 3.683 22.065
O 3.269 8.917 13.987
O 3.359 6.379 4.744
O 3.322 6.366 21.945
O 3.377 14.270 6.185
O 3.426 4.161 5.769
O 3.457 3.934 15.200
O 3.398 11.694 23.206
O 3.480 1.237 15.188
O 3.479 11.283 13.674
O 3.543 6.109 7.162
O 3.513 14.815 14.233
O 3.488 14.405 23.216
O 3.542 11.848 20.510
O 3.683 9.496 4.775
O 3.684 11.505 6.111
O 3.683 6.426 14.522
O 3.756 1.108 5.706
O 3.651 14.615 20.514
O 3.797 9.490 21.928
O 3.862 4.574 12.637
O 3.880 1.010 22.224
O 4.782 11.669 18.118
O 4.878 0.903 9.567
O 4.972 4.061 0.697
O 5.023 6.426 2.129
O 5.004 9.364 16.517
O 5.107 14.472 8.581
O 5.087 5.939 18.957
O 5.142 14.740 11.011
O 5.266 0.555 3.100
O 5.208 1.222 17.277
O 5.266 9.268 2.403
O 5.253 4.142 17.415
O 5.292 14.408 18.134
O 5.377 11.626 1.870
O 5.362 9.473 10.037
O 5.369 11.572 11.194
O 5.366 9.229 19.122
O 5.449 14.540 1.511
O 5.499 11.538 8.737
O 5.532 6.446 16.607
O 5.630 1.141 0.765
O 5.621 6.375 9.971
O 5.660 3.950 9.733
O 5.744 4.162 3.262
O 5.882 8.048 14.025
O 5.915 13.128 6.295
O 5.884 12.932 22.980
O 5.921 2.965 22.030
O 6.017 7.558 4.651
O 6.006 2.750 15.079
O 6.011 13.081 20.506
O 6.247 8.236 7.198
O 6.257 1.997 12.556
O 6.320 2.664 5.744
O 6.300 7.284 21.818
O 6.398 13.243 13.675
O 6.926 10.037 0.832
O 6.982 15.515 9.733
O 7.096 0.487 19.055
O 7.135 10.623 3.194
O 7.160 10.574 17.787
O 7.303 5.317 1.465
O 7.287 5.286 8.596
O 7.251 5.372 17.963
O 7.264 15.441 16.572
O 7.342 5.092 11.059
O 7.429 0.132 2.062
O 7.377 10.826 10.095
O 7.587 11.754 21.717
O 7.627 14.194 21.905
O 7.868 14.458 4.717
O 7.917 1.603 7.146
O 7.869 9.269 12.548
O 7.970 6.602 13.258
O 8.014 6.504 6.260
O 7.988 3.781 20.441
O 8.034 3.811 13.593
O 8.017 12.203 15.092
O 8.063 1.279 14.403
O 8.092 9.059 5.403
O 8.121 11.863 5.371
O 8.115 3.981 23.098
O 8.205 6.541 20.521
O 8.222 8.513 15.095
O 8.231 1.576 22.000
O 8.305 1.649 4.734
O 8.290 6.735 23.000
O 8.345 13.805 7.214
O 8.303 8.683 21.591
O 8.415 12.275 12.673
O 8.483 3.707 6.055
O 8.512 14.313 14.019
```

Values from the calculation:
Energy of formation in eV per atom: -2.732
Magnetization in Bohr magnetons per cell: 0.00

***

Record 3
Below is a relaxed structure of Na6La3NbSi4S2O24, with properties calculated at the PBE level.

```
120
Lattice="9.582 0.000 0.000 4.782 8.314 0.000 0.256 0.211 23.682" Properties=species:S:1:pos:R:3 pbc="T T T"
Na 0.000 0.000 0.000
Na 11.408 2.985 19.603
Na 1.591 2.562 11.908
Na 3.127 5.241 5.859
Na 5.020 8.022 8.217
Na 4.380 3.023 7.865
Na 6.354 6.192 20.058
Na 7.774 8.230 10.026
Na 6.105 5.217 3.864
Na 8.244 8.197 21.831
Na 6.190 0.400 11.978
Na 7.496 2.679 1.950
Na 7.902 2.779 13.871
Na 9.721 5.728 8.044
Na 11.209 8.041 19.789
Na 9.895 5.498 15.948
Na 9.395 0.167 15.641
Na 12.732 5.743 17.686
La 3.271 5.587 9.644
La 3.145 0.217 6.360
La 3.236 0.152 13.467
La 3.342 0.233 18.072
La 3.340 0.106 1.537
La 7.910 2.779 5.512
La 8.109 2.848 17.331
La 12.861 5.811 21.496
La 12.747 5.507 2.203
Nb 8.070 3.049 10.512
Nb 8.152 3.027 22.129
Nb 12.725 5.631 13.999
Si 1.843 2.819 15.729
Si 4.762 3.214 11.805
Si 6.371 5.734 23.587
Si 4.597 2.688 4.030
Si 6.628 5.287 7.973
Si 11.092 8.318 15.664
Si 9.494 5.407 19.711
Si 11.548 8.441 23.502
Si 9.916 5.634 11.751
Si 10.738 2.825 8.037
Si 9.557 0.507 19.809
Si 14.127 8.239 11.763
S 5.009 8.284 3.900
S 6.419 5.925 15.781
S 5.321 2.918 19.871
S 9.394 5.840 4.014
S 6.537 0.414 8.064
S 11.265 3.162 23.573
O 2.597 4.293 15.378
O 4.211 7.021 3.897
O 1.997 1.764 14.511
O 1.891 1.549 0.058
O 5.869 8.332 2.693
O 2.452 2.207 17.142
O 1.326 0.280 11.987
O 5.864 8.218 5.134
O 2.014 1.410 8.095
O 1.626 0.521 19.817
O 4.933 5.902 15.598
O 3.940 4.210 3.972
O 4.234 4.336 12.983
O 5.011 5.537 8.040
O 5.410 5.886 22.270
O 4.369 4.045 20.007
O 4.094 3.652 10.401
O 5.244 5.223 1.263
O 6.682 6.733 17.023
O 6.950 6.920 0.023
O 4.182 2.008 5.499
O 4.063 1.742 2.820
O 4.205 1.718 12.080
O 7.067 6.578 14.636
O 4.574 1.625 19.858
O 7.468 6.699 8.054
O 6.049 3.105 18.605
O 6.973 4.560 15.890
O 6.873 4.435 6.620
O 6.289 2.875 21.015
O 6.229 2.890 3.866
O 6.423 3.140 11.723
O 7.336 4.377 23.266
O 8.748 6.871 19.832
O 7.247 4.290 9.270
O 5.037 0.323 8.027
O 5.178 0.390 23.647
O 8.978 6.903 12.006
O 8.835 6.578 2.856
O 5.334 0.129 14.386
O 9.066 6.566 5.277
O 10.213 8.038 17.052
O 8.731 4.509 3.985
O 6.920 1.235 9.243
O 8.887 4.393 20.938
O 9.140 4.658 18.315
O 7.034 1.015 6.814
O 7.516 1.635 23.358
O 7.371 1.250 15.711
O 9.079 4.167 11.759
O 11.765 7.635 22.103
O 10.676 5.784 10.352
O 10.863 5.697 3.912
O 8.468 1.381 11.709
O 11.876 7.350 8.097
O 12.130 7.481 1.022
O 9.758 3.086 23.481
O 11.136 5.485 19.825
O 9.817 3.180 15.784
O 11.093 5.421 12.984
O 12.018 6.904 15.434
O 9.017 1.557 21.038
O 9.662 2.790 9.394
O 9.772 2.909 6.750
O 8.941 1.102 18.427
O 8.929 1.146 3.917
O 11.322 3.803 1.037
O 13.432 7.266 12.997
O 11.709 4.146 8.016
O 13.762 7.281 19.897
O 13.909 7.496 10.350
O 11.821 3.702 22.312
```

Values from the calculation:
Energy of formation in eV per atom: -2.850
Magnetization in Bohr magnetons per cell: 0.00

***

- What is the formula in the second record?
  Na2La3Nb5Si6S6O48